Record 1
DFT (GGA-PBE) results for crystalline K2Ge2S5 at its relaxed geometry. Values from VASP.

As for the crystal system: monoclinic. The symmetry is C2/c.

```
&SYSTEM
  ibrav = 0, nat = 36, ntyp = 3
/
ATOMIC_SPECIES
K 39.10 K.upf
Ge 72.64 Ge.upf
S 32.06 S.upf
ATOMIC_POSITIONS crystal
K 0.0608 0.2123 0.1179
K 0.2123 0.0608 0.6179
K 0.2137 0.4683 0.6199
K 0.4683 0.2137 0.1199
K 0.5317 0.7863 0.8801
K 0.7863 0.5317 0.3801
K 0.7877 0.9392 0.3821
K 0.9392 0.7877 0.8821
Ge 0.1332 0.7302 0.3899
Ge 0.2671 0.5264 0.0958
Ge 0.2698 0.8668 0.1101
Ge 0.4736 0.7329 0.4042
Ge 0.5264 0.2671 0.5958
Ge 0.7302 0.1332 0.8899
Ge 0.7329 0.4736 0.9042
Ge 0.8668 0.2698 0.6101
S 0.0068 0.2470 0.4702
S 0.1147 0.5417 0.2399
S 0.1153 0.8847 0.2500
S 0.2431 0.3510 0.9446
S 0.2447 0.6790 0.9511
S 0.2470 0.0068 0.9702
S 0.3210 0.7553 0.5489
S 0.3510 0.2431 0.4446
S 0.4550 0.5450 0.2500
S 0.4583 0.8853 0.2601
S 0.5417 0.1147 0.7399
S 0.5450 0.4550 0.7500
S 0.6490 0.7569 0.5554
S 0.6790 0.2447 0.4511
S 0.7530 0.9932 0.0298
S 0.7553 0.3210 0.0489
S 0.7569 0.6490 0.0554
S 0.8847 0.1153 0.7500
S 0.8853 0.4583 0.7601
S 0.9932 0.7530 0.5298
CELL_PARAMETERS angstrom
7.7774 -7.7958 0.0000
7.7774 7.7958 0.0000
-2.2294 0.0000 8.6660
```

***

Record 2
DFT (GGA-PBE) results for crystalline KYGeS4 at its relaxed geometry. Values from VASP.

As for the crystal system: monoclinic. Its largest piezoelectric modulus is 0.5 C/m². The symmetry is P2_1.

```
&SYSTEM
  ibrav = 0, nat = 14, ntyp = 4
/
ATOMIC_SPECIES
K 39.10 K.upf
Y 88.91 Y.upf
Ge 72.64 Ge.upf
S 32.06 S.upf
ATOMIC_POSITIONS crystal
K 0.2332 0.0000 0.4346
K 0.7668 0.5000 0.5654
Y 0.2716 0.0182 0.9491
Y 0.7284 0.5182 0.0509
Ge 0.2748 0.4833 0.1745
Ge 0.7252 0.9833 0.8255
S 0.0660 0.4146 0.9269
S 0.0694 0.4813 0.3337
S 0.4750 0.7455 0.7806
S 0.4823 0.7540 0.2014
S 0.5177 0.2540 0.7986
S 0.5250 0.2455 0.2194
S 0.9306 0.9813 0.6663
S 0.9340 0.9146 0.0731
CELL_PARAMETERS angstrom
6.5421 0.0000 0.0000
0.0000 6.7119 0.0000
-2.5915 0.0000 8.3099
```

***

no.,DFT formation energy (eV/f.u.)
1,-9.4
2,-10.8